Li4Mn2P3O12: optimized geometry, PBE+U.

Properties
- magnetic moment (μB/f.u.) = 9.001
- space group = P2_1/c, No. 14

Unit cell a=8.9039 b=8.7559 c=15.2685 alpha=90.00 beta=124.74 gamma=90.00
With the nearest neighbours (Å) after each atom.
Positions (direct):
Li 0.0174 0.2367 0.3179  4 O 1.93-2.02
Li 0.0174 0.2633 0.8179  4 O 1.93-2.02
Li 0.2372 0.0758 0.2874  3 O 1.99-2.04
Li 0.2372 0.4242 0.7874  3 O 1.99-2.04
Li 0.3455 0.5579 0.2902  4 O 2.02-2.12
Li 0.3455 0.9421 0.7902  4 O 2.02-2.12
Li 0.3954 0.2374 0.1777  4 O 1.92-2.05
Li 0.3954 0.2626 0.6777  4 O 1.92-2.05
Li 0.6046 0.7374 0.3223  4 O 1.92-2.05
Li 0.6046 0.7626 0.8223  4 O 1.92-2.05
Li 0.6545 0.0579 0.2098  4 O 2.02-2.12
Li 0.6545 0.4421 0.7098  4 O 2.02-2.12
Li 0.7628 0.5758 0.2126  3 O 1.99-2.04
Li 0.7628 0.9242 0.7126  3 O 1.99-2.04
Li 0.9826 0.7367 0.1821  4 O 1.93-2.02
Li 0.9826 0.7633 0.6821  4 O 1.93-2.02
Mn 0.1437 0.5474 0.3955  5 O 2.01-2.24
Mn 0.1437 0.9526 0.8955  5 O 2.01-2.24
Mn 0.3545 0.5509 0.1048  5 O 2.00-2.15
Mn 0.3545 0.9491 0.6048  5 O 2.00-2.15
Mn 0.6455 0.0509 0.3952  5 O 2.00-2.15
Mn 0.6455 0.4491 0.8952  5 O 2.00-2.15
Mn 0.8563 0.0474 0.1045  5 O 2.01-2.24
Mn 0.8563 0.4526 0.6045  5 O 2.01-2.24
P 0.0512 0.1057 0.6512  4 O 1.52-1.58
P 0.0512 0.3943 0.1512  4 O 1.52-1.58
P 0.2522 0.6079 0.6491  4 O 1.50-1.59
P 0.2522 0.8921 0.1491  4 O 1.50-1.59
P 0.4480 0.2494 0.0000  4 O 1.54-1.57
P 0.4480 0.2506 0.5000  4 O 1.54-1.57
P 0.5520 0.7494 0.5000  4 O 1.54-1.57
P 0.5520 0.7506 0.0000  4 O 1.54-1.57
P 0.7478 0.1079 0.8509  4 O 1.50-1.59
P 0.7478 0.3921 0.3509  4 O 1.50-1.59
P 0.9488 0.6057 0.8488  4 O 1.52-1.58
P 0.9488 0.8943 0.3488  4 O 1.52-1.58
O 0.0432 0.2358 0.1948  1 P 1.56
O 0.0432 0.2642 0.6948  1 P 1.56
O 0.0644 0.5240 0.2256  1 P 1.56
O 0.0644 0.9760 0.7256  1 P 1.56
O 0.1125 0.5790 0.9621  1 P 1.52
O 0.1125 0.9210 0.4621  1 P 1.52
O 0.1131 0.5901 0.6792  1 P 1.56
O 0.1131 0.9099 0.1792  1 P 1.56
O 0.1658 0.5971 0.5312  1 P 1.50
O 0.1658 0.9029 0.0312  1 P 1.50
O 0.2404 0.0986 0.6640  1 P 1.58
O 0.2404 0.4014 0.1640  1 P 1.58
O 0.2595 0.1717 0.9308  1 P 1.54
O 0.2595 0.3283 0.4308  1 P 1.54
O 0.3425 0.7281 0.1911  1 P 1.59
O 0.3425 0.7719 0.6911  1 P 1.59
O 0.3933 0.6386 0.4279  1 P 1.54
O 0.3933 0.8614 0.9279  1 P 1.54
O 0.3995 0.0198 0.2125  1 P 1.57
O 0.3995 0.4802 0.7125  1 P 1.57
O 0.4468 0.1433 0.5820  1 P 1.57
O 0.4468 0.3567 0.0820  1 P 1.57
O 0.4672 0.1624 0.4176  1 P 1.57
O 0.4672 0.3376 0.9176  1 P 1.57
O 0.5328 0.6624 0.0824  1 P 1.57
O 0.5328 0.8376 0.5824  1 P 1.57
O 0.5532 0.6433 0.9180  1 P 1.57
O 0.5532 0.8567 0.4180  1 P 1.57
O 0.6005 0.5198 0.2875  1 P 1.57
O 0.6005 0.9802 0.7875  1 P 1.57
O 0.6067 0.1386 0.0721  1 P 1.54
O 0.6067 0.3614 0.5721  1 P 1.54
O 0.6575 0.2281 0.3089  1 P 1.59
O 0.6575 0.2719 0.8089  1 P 1.59
O 0.7405 0.6717 0.5692  1 P 1.54
O 0.7405 0.8283 0.0692  1 P 1.54
O 0.7596 0.5986 0.8360  1 P 1.58
O 0.7596 0.9014 0.3360  1 P 1.58
O 0.8342 0.0971 0.9688  1 P 1.50
O 0.8342 0.4029 0.4688  1 P 1.50
O 0.8869 0.0901 0.8208  1 P 1.56
O 0.8869 0.4099 0.3208  1 P 1.56
O 0.8875 0.0790 0.5379  1 P 1.52
O 0.8875 0.4210 0.0379  1 P 1.52
O 0.9356 0.0240 0.2744  1 P 1.56
O 0.9356 0.4760 0.7744  1 P 1.56
O 0.9568 0.7358 0.3052  1 P 1.56
O 0.9568 0.7642 0.8052  1 P 1.56

Li2Mn3F8: optimized geometry, PBE+U.

Properties
- magnetic moment (μB/f.u.) = 5.000
- space group = P2_1/c, No. 14

Unit cell a=5.9555 b=12.3601 c=5.2698 alpha=90.00 beta=114.88 gamma=90.00
With the nearest neighbours (Å) after each atom.
Positions (direct):
Li 0.2009 0.1163 0.1331  4 F 1.91-1.98
Li 0.2009 0.3837 0.6331  4 F 1.91-1.98
Li 0.7991 0.6163 0.3669  4 F 1.91-1.98
Li 0.7991 0.8837 0.8669  4 F 1.91-1.98
Mn 0.0000 0.0000 0.5000  6 F 2.10-2.29
Mn 0.0000 0.5000 0.0000  6 F 2.10-2.29
Mn 0.3974 0.6540 0.6809  5 F 2.09-2.11
Mn 0.3974 0.8460 0.1809  5 F 2.09-2.11
Mn 0.6026 0.1540 0.8191  5 F 2.09-2.11
Mn 0.6026 0.3460 0.3191  5 F 2.09-2.11
F 0.0902 0.6482 0.2880  1 Li 1.98, 1 Mn 2.11
F 0.0902 0.8518 0.7880  1 Li 1.98, 1 Mn 2.11
F 0.2216 0.5263 0.7843  1 Li 1.92, 2 Mn 2.09-2.10
F 0.2216 0.9737 0.2843  1 Li 1.92, 2 Mn 2.09-2.10
F 0.2802 0.0879 0.8227  1 Li 1.92, 2 Mn 2.09-2.11
F 0.2802 0.4121 0.3227  1 Li 1.92, 2 Mn 2.09-2.11
F 0.4763 0.1956 0.3930  1 Li 1.91, 2 Mn 2.10-2.11
F 0.4763 0.3044 0.8930  1 Li 1.91, 2 Mn 2.10-2.11
F 0.5237 0.6956 0.1070  1 Li 1.91, 2 Mn 2.10-2.11
F 0.5237 0.8044 0.6070  1 Li 1.91, 2 Mn 2.10-2.11
F 0.7198 0.5879 0.6773  1 Li 1.92, 2 Mn 2.09-2.11
F 0.7198 0.9121 0.1773  1 Li 1.92, 2 Mn 2.09-2.11
F 0.7784 0.0263 0.7157  1 Li 1.92, 2 Mn 2.09-2.10
F 0.7784 0.4737 0.2157  1 Li 1.92, 2 Mn 2.09-2.10
F 0.9098 0.1482 0.2120  1 Li 1.98, 1 Mn 2.11
F 0.9098 0.3518 0.7120  1 Li 1.98, 1 Mn 2.11

Mn2PO5: optimized geometry, PBE+U.

Properties
- magnetic moment (μB/f.u.) = 9.000
- space group = P-1, No. 2

Unit cell a=5.6018 b=5.6026 c=7.1532 alpha=67.92 beta=67.96 gamma=86.30
With the nearest neighbours (Å) after each atom.
Positions (direct):
Mn 0.0000 0.0000 0.0000  4 O 1.95-1.98
Mn 0.0000 0.0000 0.5000  4 O 1.95-1.98
Mn 0.0000 0.5000 0.0000  6 O 2.19-2.22
Mn 0.5000 0.0000 0.5000  6 O 2.19-2.22
P 0.3682 0.6312 0.2504  4 O 1.54-1.57
P 0.6318 0.3688 0.7496  4 O 1.54-1.57
O 0.1002 0.8998 0.7502  2 Mn 1.95
O 0.2074 0.7161 0.1007  1 P 1.57
O 0.2840 0.7927 0.3996  1 P 1.57
O 0.3028 0.3376 0.3774  1 P 1.54
O 0.3381 0.3045 0.8759  1 P 1.54
O 0.6619 0.6955 0.1241  1 P 1.54
O 0.6972 0.6624 0.6226  1 P 1.54
O 0.7160 0.2073 0.6004  1 P 1.57
O 0.7926 0.2839 0.8993  1 P 1.57
O 0.8998 0.1002 0.2498  2 Mn 1.95

Li9Mn2Co5O16: optimized geometry, PBE+U.

Properties
- magnetic moment (μB/f.u.) = 8.000
- space group = Pm, No. 6

Unit cell a=9.8521 b=2.9037 c=10.2294 alpha=90.00 beta=99.66 gamma=90.00
With the nearest neighbours (Å) after each atom.
Positions (direct):
Li 0.0000 0.0000 0.0000  4 O 1.98-2.18
Li 0.0014 0.5000 0.7489  6 O 2.09-2.19
Li 0.0040 0.0000 0.4951  5 O 2.05-2.14
Li 0.5083 0.5000 0.5012  6 O 2.10-2.20
Li 0.5160 0.0000 0.2538  5 O 2.03-2.19
Li 0.5225 0.0000 0.7505  4 O 2.03-2.18
Li 0.5287 0.5000 0.0075  4 O 2.06-2.24
Li 0.7565 0.0000 0.1255  6 O 2.09-2.13
Li 0.9960 0.5000 0.2401  6 O 2.05-2.25
Mn 0.2581 0.0000 0.8729  6 O 1.94-1.98
Mn 0.7552 0.5000 0.3670  6 O 1.85-2.06
Co 0.2593 0.0000 0.3768  6 O 2.00-2.09
Co 0.2593 0.5000 0.1276  6 O 1.95-2.17
Co 0.2602 0.5000 0.6189  6 O 1.99-2.18
Co 0.7582 0.0000 0.6298  6 O 1.97-2.12
Co 0.7677 0.5000 0.8956  3 O 1.81-1.98
O 0.1401 0.5000 0.4350  3 Co 2.02-2.05, 3 Li 2.14-2.24
O 0.1477 0.5000 0.9258  2 Mn 1.94, 1 Li 2.12, 1 Co 2.17
O 0.1497 0.0000 0.1830  3 Co 1.95-2.09, 1 Li 2.18
O 0.1498 0.0000 0.6966  1 Mn 1.94, 2 Co 2.05
O 0.3611 0.0000 0.0566  2 Co 1.97, 1 Mn 1.98
O 0.3702 0.5000 0.8228  2 Mn 1.94
O 0.3735 0.5000 0.3165  3 Co 2.00-2.07, 3 Li 2.12-2.19
O 0.3771 0.0000 0.5644  3 Co 1.99-2.07, 3 Li 2.12-2.18
O 0.6412 0.5000 0.2039  1 Mn 1.85, 2 Li 2.03
O 0.6427 0.0000 0.9317  2 Co 1.98, 4 Li 2.03-2.11
O 0.6441 0.5000 0.6826  2 Co 1.97, 3 Li 2.08-2.10
O 0.6492 0.0000 0.4332  2 Mn 1.97, 3 Li 2.07-2.20, 1 Co 2.12
O 0.8692 0.0000 0.3195  2 Mn 1.95, 4 Li 2.05-2.16
O 0.8688 0.5000 0.5553  2 Co 2.04, 1 Mn 2.06, 3 Li 2.13-2.18
O 0.8725 0.0000 0.8103  3 Co 2.00-2.06, 3 Li 2.09-2.13
O 0.8839 0.5000 0.0525  1 Co 1.81, 2 Li 1.98

Number 1: DFT total energy -577.5 eV for the cell shown, energy relative to the elements -54.37 eV per formula unit, total energy after the MP2020 corrections -7.426 eV per atom. Number 2: DFT total energy -153.1 eV for the cell shown, energy relative to the elements -38.63 eV per formula unit, total energy after the MP2020 corrections -6.558 eV per atom. Number 3: DFT total energy -121.6 eV for the cell shown, energy relative to the elements -19.08 eV per formula unit, total energy after the MP2020 corrections -8.445 eV per atom. Number 4: DFT total energy -185.3 eV for the cell shown, energy relative to the elements -57.65 eV per formula unit, total energy after the MP2020 corrections -6.496 eV per atom.